Record 1
This record from the Materials Project describes crystalline Ba4Ta2TiZnO12 at its relaxed geometry. The functional is PBE.

a = 10.1034 Å, b = 10.1034 Å, c = 10.1034 Å
α = 132.10°, β = 132.10°, γ = 70.08°
Closest atoms and distances in Å follow each position.
Fractional positions:
O: 0.4952 0.7466 0.7486  1 Ti 2.04, 1 Ta 2.06
O: 0.6159 0.1159 0.5000  1 Ta 1.94
O: 0.3804 0.3804 0.0000  1 Ti 1.98, 1 Ta 2.14
O: 0.6196 0.6196 0.0000  1 Ti 1.98, 1 Ta 2.14
O: 0.7447 0.5047 0.7599  1 Ta 1.97, 1 Zn 2.13
Ta: 0.0011 0.5011 0.5000  6 O 1.94-2.14
Ba: 0.8750 0.8808 0.5058  12 O 2.85-2.95
Ba: 0.1192 0.6250 0.9942  12 O 2.85-2.95
O: 0.7348 0.9947 0.7401  1 Ta 1.97, 1 Zn 2.13
Ta: 0.4989 0.9989 0.5000  6 O 1.94-2.14
O: 0.0053 0.7453 0.7401  1 Ta 1.97, 1 Zn 2.13
O: 0.8841 0.3841 0.5000  1 Ta 1.94
O: 0.0053 0.2652 0.2599  1 Ta 1.97, 1 Zn 2.13
O: 0.7520 0.5034 0.2486  1 Ti 2.04, 1 Ta 2.06
O: 0.2534 0.5048 0.2514  1 Ti 2.04, 1 Ta 2.06
O: 0.3696 0.8696 0.5000  1 Ti 1.98, 1 Ta 2.14
Ti: 0.5000 0.5000 0.0000  6 O 1.98-2.04
O: 0.7447 0.9848 0.2401  1 Ta 1.97, 1 Zn 2.13
O: 0.4966 0.2480 0.7514  1 Ti 2.04, 1 Ta 2.06
O: 0.0152 0.2553 0.7599  1 Ta 1.97, 1 Zn 2.13
O: 0.1304 0.6304 0.5000  1 Ti 1.98, 1 Ta 2.14
Ba: 0.8750 0.3692 0.9942  12 O 2.85-2.95
Ta: 0.7489 0.7489 0.0000  6 O 1.94-2.14
O: 0.2534 0.0020 0.7486  1 Ti 2.04, 1 Ta 2.06
Zn: 0.0000 0.0000 0.0000  6 O 2.13-2.22
Ta: 0.2511 0.2511 0.0000  6 O 1.94-2.14
O: 0.2547 0.9947 0.2599  1 Ta 1.97, 1 Zn 2.13
Ba: 0.6308 0.1250 0.0058  12 O 2.85-2.95
O: 0.4966 0.7452 0.2486  1 Ti 2.04, 1 Ta 2.06
Ba: 0.1192 0.1250 0.4942  12 O 2.85-2.95
O: 0.9980 0.7466 0.2514  1 Ti 2.04, 1 Ta 2.06
O: 0.1341 0.1341 0.0000  1 Ta 1.94
O: 0.4953 0.2553 0.2401  1 Ta 1.97, 1 Zn 2.13
Ti: 0.2500 0.7500 0.5000  6 O 1.98-2.04
Ba: 0.3750 0.3692 0.4942  12 O 2.85-2.95
O: 0.2548 0.5034 0.7514  1 Ti 2.04, 1 Ta 2.06
O: 0.8659 0.8659 0.0000  1 Ta 1.94
Ba: 0.6308 0.6250 0.5058  12 O 2.85-2.95
Ba: 0.3750 0.8808 0.0058  12 O 2.85-2.95
Zn: 0.7500 0.2500 0.5000  6 O 2.13-2.22

Output
Calculated formation energy in kJ/mol of formula units: -6324
Crystal system: tetragonal
Raw total energy in eV per atom: -7.86
Symmetry: I4_1/amd

***

Record 2
This record from the Materials Project describes crystalline Ba4Ta2TiZnO12 at its relaxed geometry. The functional is PBE.

a = 5.8122 Å, b = 5.8122 Å, c = 8.2290 Å
α = 90.00°, β = 90.00°, γ = 90.00°
Closest atoms and distances in Å follow each position.
Fractional positions:
O: 0.7404 0.7404 0.5000  1 Ta 1.98, 1 Zn 2.13
O: 0.2520 0.2520 0.0000  1 Ti 2.04, 1 Ta 2.07
Ba: 0.5000 0.0000 0.7430  12 O 2.87-2.95
Ba: 0.5000 0.0000 0.2570  12 O 2.87-2.95
O: 0.2520 0.7480 0.0000  1 Ti 2.04, 1 Ta 2.07
O: 0.7480 0.7480 0.0000  1 Ti 2.04, 1 Ta 2.07
Zn: 0.0000 0.0000 0.5000  6 O 2.13-2.16
O: 0.2596 0.7404 0.5000  1 Ta 1.98, 1 Zn 2.13
Ba: 0.0000 0.5000 0.7430  12 O 2.87-2.95
O: 0.0000 0.0000 0.7628  1 Ta 1.95, 1 Zn 2.16
O: 0.0000 0.0000 0.2372  1 Ta 1.95, 1 Zn 2.16
O: 0.5000 0.5000 0.2437  1 Ti 2.01, 1 Ta 2.11
O: 0.5000 0.5000 0.7563  1 Ti 2.01, 1 Ta 2.11
O: 0.2596 0.2596 0.5000  1 Ta 1.98, 1 Zn 2.13
O: 0.7480 0.2520 0.0000  1 Ti 2.04, 1 Ta 2.07
O: 0.7404 0.2596 0.5000  1 Ta 1.98, 1 Zn 2.13
Ti: 0.5000 0.5000 0.0000  6 O 2.01-2.04
Ta: 0.5000 0.5000 0.5000  6 O 1.98-2.11
Ta: 0.0000 0.0000 0.0000  6 O 1.95-2.07
Ba: 0.0000 0.5000 0.2570  12 O 2.87-2.95

Output
Calculated formation energy in kJ/mol of formula units: -6304
Crystal system: tetragonal
Raw total energy in eV per atom: -7.85
Symmetry: P4/mmm

***

Record 3
This record from the Materials Project describes crystalline Ba2TaTlO6 at its relaxed geometry. The functional is PBE.

a = 6.0314 Å, b = 6.0314 Å, c = 6.0314 Å
α = 60.00°, β = 60.00°, γ = 60.00°
Closest atoms and distances in Å follow each position.
Fractional positions:
Ba: 0.2500 0.2500 0.2500  12 O 3.02
Ba: 0.7500 0.7500 0.7500  12 O 3.02
O: 0.2346 0.7654 0.7654  1 Ta 2.00
O: 0.7654 0.2346 0.7654  1 Ta 2.00
Ta: 0.0000 0.0000 0.0000  6 O 2.00
O: 0.2346 0.7654 0.2346  1 Ta 2.00
Tl: 0.5000 0.5000 0.5000  6 O 2.26
O: 0.2346 0.2346 0.7654  1 Ta 2.00
O: 0.7654 0.7654 0.2346  1 Ta 2.00
O: 0.7654 0.2346 0.2346  1 Ta 2.00

Output
Calculated formation energy in kJ/mol of formula units: -2718
Crystal system: cubic
Raw total energy in eV per atom: -7.18
Symmetry: Fm-3m

***

Record 4
This record from the Materials Project describes crystalline Ba2YTaO6 at its relaxed geometry. The functional is PBE.

a = 6.0255 Å, b = 6.0415 Å, c = 6.0255 Å
α = 119.91°, β = 90.00°, γ = 119.91°
Closest atoms and distances in Å follow each position.
Fractional positions:
O: 0.2910 0.0000 0.2386  1 Ta 2.02
Ba: 0.2500 0.5000 0.7500  12 O 2.87-3.18
O: 0.7614 0.0000 0.2910  1 Ta 2.02
O: 0.2386 0.0000 0.7090  1 Ta 2.02
O: 0.7090 0.0000 0.7614  1 Ta 2.02
Y: 0.0000 0.0000 0.0000  6 O 2.27
Ta: 0.5000 0.0000 0.5000  6 O 2.02
O: 0.7355 0.4710 0.7355  1 Ta 2.02
Ba: 0.7500 0.5000 0.2500  12 O 2.87-3.18
O: 0.2645 0.5290 0.2645  1 Ta 2.02

Output
Calculated formation energy in kJ/mol of formula units: -3447
Crystal system: tetragonal
Raw total energy in eV per atom: -8.35
Symmetry: I4/m